1.
## K2MnV2O7 (PBE+U)

Data for K2MnV2O7 after structural relaxation.

Geometry as POSCAR:
```
K2MnV2O7
1.0
8.7613 0.0000 0.0000
0.0000 8.7613 0.0000
0.0000 0.0000 5.6759
K Mn V O
4 2 4 14
direct
0.1629 0.3371 0.0102 K
0.3371 0.8371 0.9898 K
0.6629 0.1629 0.9898 K
0.8371 0.6629 0.0102 K
0.0000 0.0000 0.5000 Mn
0.5000 0.5000 0.5000 Mn
0.1400 0.6400 0.5568 V
0.3600 0.1400 0.4432 V
0.6400 0.8600 0.4432 V
0.8600 0.3600 0.5568 V
0.0000 0.5000 0.6614 O
0.0879 0.8153 0.6768 O
0.1445 0.6445 0.2604 O
0.1847 0.0879 0.3232 O
0.3153 0.5879 0.6768 O
0.3555 0.1445 0.7396 O
0.4121 0.3153 0.3232 O
0.5000 0.0000 0.3386 O
0.5879 0.6847 0.3232 O
0.6445 0.8555 0.7396 O
0.6847 0.4121 0.6768 O
0.8153 0.9121 0.3232 O
0.8555 0.3555 0.2604 O
0.9121 0.1847 0.6768 O
```

---

2.
## KMnVO4 (PBE+U)

Data for KMnVO4 after structural relaxation.

Geometry as POSCAR:
```
KMnVO4
1.0
12.2914 0.0000 0.0000
0.0000 5.7204 0.0000
-6.5738 0.0000 23.6118
K Mn V O
16 16 16 64
direct
0.0496 0.2273 0.3150 K
0.0496 0.2727 0.8150 K
0.1286 0.7158 0.4356 K
0.1286 0.7842 0.9356 K
0.3185 0.7300 0.1952 K
0.3185 0.7700 0.6952 K
0.3716 0.2136 0.3128 K
0.3716 0.2864 0.8128 K
0.6284 0.7136 0.1872 K
0.6284 0.7864 0.6872 K
0.6815 0.2300 0.3048 K
0.6815 0.2700 0.8048 K
0.8714 0.2158 0.0644 K
0.8714 0.2842 0.5644 K
0.9504 0.7273 0.1850 K
0.9504 0.7727 0.6850 K
0.1222 0.2356 0.1816 Mn
0.1222 0.2644 0.6816 Mn
0.1747 0.2422 0.5607 Mn
0.1747 0.2578 0.0607 Mn
0.3821 0.7423 0.5584 Mn
0.3821 0.7577 0.0584 Mn
0.4232 0.7228 0.4228 Mn
0.4232 0.7772 0.9228 Mn
0.5768 0.2228 0.0772 Mn
0.5768 0.2772 0.5772 Mn
0.6179 0.2423 0.9416 Mn
0.6179 0.2577 0.4416 Mn
0.8253 0.7422 0.9393 Mn
0.8253 0.7578 0.4393 Mn
0.8778 0.7356 0.3184 Mn
0.8778 0.7644 0.8184 Mn
0.0758 0.7270 0.0701 V
0.0758 0.7730 0.5701 V
0.1769 0.7269 0.2911 V
0.1769 0.7731 0.7911 V
0.3286 0.2297 0.4640 V
0.3286 0.2703 0.9640 V
0.4187 0.2451 0.1526 V
0.4187 0.2549 0.6526 V
0.5813 0.7451 0.3474 V
0.5813 0.7549 0.8474 V
0.6714 0.7297 0.0360 V
0.6714 0.7703 0.5360 V
0.8231 0.2269 0.2089 V
0.8231 0.2731 0.7089 V
0.9242 0.2270 0.4299 V
0.9242 0.2730 0.9299 V
0.0351 0.2497 0.4901 O
0.0351 0.2503 0.9901 O
0.0513 0.7216 0.3116 O
0.0513 0.7784 0.8116 O
0.0546 0.5016 0.1139 O
0.0546 0.9984 0.6139 O
0.0928 0.5058 0.6073 O
0.0928 0.9942 0.1073 O
0.1770 0.5303 0.7475 O
0.1770 0.9697 0.2475 O
0.1815 0.0202 0.7500 O
0.1815 0.4798 0.2500 O
0.2037 0.6505 0.0539 O
0.2037 0.8495 0.5539 O
0.2188 0.2473 0.9062 O
0.2188 0.2527 0.4062 O
0.2741 0.2162 0.6484 O
0.2741 0.2838 0.1484 O
0.2939 0.7343 0.3497 O
0.2939 0.7657 0.8497 O
0.2953 0.1131 0.0199 O
0.2953 0.3869 0.5199 O
0.3588 0.5755 0.9784 O
0.3588 0.9245 0.4784 O
0.4395 0.5457 0.6355 O
0.4395 0.9543 0.1355 O
0.4456 0.1279 0.9490 O
0.4456 0.3721 0.4490 O
0.4615 0.0633 0.6041 O
0.4615 0.4367 0.1041 O
0.4929 0.1844 0.7190 O
0.4929 0.3156 0.2190 O
0.5071 0.6844 0.7810 O
0.5071 0.8156 0.2810 O
0.5385 0.5633 0.8959 O
0.5385 0.9367 0.3959 O
0.5544 0.6279 0.5510 O
0.5544 0.8721 0.0510 O
0.5605 0.0457 0.8645 O
0.5605 0.4543 0.3645 O
0.6412 0.0755 0.5216 O
0.6412 0.4245 0.0216 O
0.7047 0.6131 0.4801 O
0.7047 0.8869 0.9801 O
0.7061 0.2343 0.1503 O
0.7061 0.2657 0.6503 O
0.7259 0.7162 0.8516 O
0.7259 0.7838 0.3516 O
0.7812 0.7473 0.5938 O
0.7812 0.7527 0.0938 O
0.7963 0.1505 0.4461 O
0.7963 0.3495 0.9461 O
0.8185 0.5202 0.7500 O
0.8185 0.9798 0.2500 O
0.8230 0.0303 0.7525 O
0.8230 0.4697 0.2525 O
0.9072 0.0058 0.8927 O
0.9072 0.4942 0.3927 O
0.9454 0.0016 0.3861 O
0.9454 0.4984 0.8861 O
0.9487 0.2216 0.1884 O
0.9487 0.2784 0.6884 O
0.9649 0.7497 0.0099 O
0.9649 0.7503 0.5099 O
```

---

3.
## K2MnV4O12 (PBE+U)

Data for K2MnV4O12 after structural relaxation.

Geometry as POSCAR:
```
K2MnV4O12
1.0
8.4178 0.0000 0.0000
0.0000 9.5566 0.0000
-5.4929 0.0000 8.1939
K Mn V O
4 2 8 24
direct
0.2269 0.2109 0.0955 K
0.2269 0.2891 0.5955 K
0.7731 0.7109 0.4045 K
0.7731 0.7891 0.9045 K
0.5000 0.0000 0.5000 Mn
0.5000 0.5000 0.0000 Mn
0.0442 0.5576 0.2521 V
0.0442 0.9424 0.7521 V
0.2911 0.7260 0.6323 V
0.2911 0.7740 0.1323 V
0.7089 0.2260 0.8677 V
0.7089 0.2740 0.3677 V
0.9558 0.0576 0.2479 V
0.9558 0.4424 0.7479 V
0.1104 0.1056 0.7514 O
0.1104 0.3944 0.2514 O
0.1275 0.6740 0.1577 O
0.1275 0.8260 0.6577 O
0.1472 0.6042 0.4664 O
0.1472 0.8958 0.9664 O
0.1977 0.0692 0.3533 O
0.1977 0.4308 0.8533 O
0.4262 0.6672 0.1002 O
0.4262 0.8328 0.6002 O
0.4439 0.6360 0.8047 O
0.4439 0.8640 0.3047 O
0.5561 0.1360 0.6953 O
0.5561 0.3640 0.1953 O
0.5738 0.1672 0.3998 O
0.5738 0.3328 0.8998 O
0.8023 0.5692 0.1467 O
0.8023 0.9308 0.6467 O
0.8528 0.1042 0.0336 O
0.8528 0.3958 0.5336 O
0.8725 0.1740 0.3423 O
0.8725 0.3260 0.8423 O
0.8896 0.6056 0.7486 O
0.8896 0.8944 0.2486 O
```

---

4.
## K3NaMo2O8 (PBE+U)

Data for K3NaMo2O8 after structural relaxation.

Geometry as POSCAR:
```
K3NaMo2O8
1.0
5.3337 -3.0734 0.0000
5.3337 3.0734 0.0000
-0.0167 0.0000 15.5197
K Na Mo O
6 2 4 16
direct
0.0554 0.9446 0.7500 K
0.3086 0.3500 0.0846 K
0.3500 0.3086 0.5846 K
0.6500 0.6914 0.4154 K
0.6914 0.6500 0.9154 K
0.9446 0.0554 0.2500 K
0.0000 0.0000 0.0000 Na
0.0000 0.0000 0.5000 Na
0.3175 0.3575 0.3610 Mo
0.3575 0.3175 0.8610 Mo
0.6425 0.6825 0.1390 Mo
0.6825 0.6425 0.6390 Mo
0.1441 0.2236 0.4089 O
0.1508 0.6914 0.3796 O
0.2236 0.1441 0.9089 O
0.2239 0.6132 0.9177 O
0.2773 0.3795 0.7495 O
0.3086 0.8492 0.1204 O
0.3795 0.2773 0.2495 O
0.3868 0.7761 0.5823 O
0.6132 0.2239 0.4177 O
0.6205 0.7227 0.7505 O
0.6914 0.1508 0.8796 O
0.7227 0.6205 0.2505 O
0.7761 0.3868 0.0823 O
0.7764 0.8559 0.0911 O
0.8492 0.3086 0.6204 O
0.8559 0.7764 0.5911 O
```

---

Taking the records one at a time from the top gives formation enthalpy at 0 K values of -2.393, -2.325, -2.395, -2.196 eV/atom.
Taking the records one at a time from the top gives M_tot values of 0.0, 5.0, 5.0, 0.0 μB per formula unit.